1.
CuCl3 | GGA-PBE | optimized geometry

Computed properties:
- total energy after the MP2020 corrections (eV/f.u.) = -12.125

a b c (Å): 13.6037 20.1937 3.5992
angles (deg): 90.00 90.00 90.00
Space group Cmmm (No. 65)
Symmetry-distinct sites (fractional):
1 Cu 0.0000 0.1862 0.0000 [4 per cell]
2 Cu 0.2153 0.5000 0.0000 [4 per cell]
3 Cl 0.0000 0.1189 0.5000 [4 per cell]
4 Cl 0.1248 0.4120 0.0000 [8 per cell]
5 Cl 0.1307 0.2478 0.0000 [8 per cell]
6 Cl 0.1817 0.0000 0.5000 [4 per cell]

***

2.
Cu3Cl | GGA-PBE | optimized geometry

Computed properties:
- total energy after the MP2020 corrections (eV/f.u.) = -13.444

a b c (Å): 3.8494 3.8494 3.8494
angles (deg): 90.00 90.00 90.00
Space group Pm-3m (No. 221)
Symmetry-distinct sites (fractional):
1 Cu 0.0000 0.0000 0.5000 [3 per cell]
2 Cl 0.5000 0.5000 0.5000 [1 per cell]

***

3.
CuCl4 | GGA-PBE | optimized geometry

Computed properties:
- total energy after the MP2020 corrections (eV/f.u.) = -13.786

a b c (Å): 4.8651 4.8651 10.4692
angles (deg): 90.00 90.00 90.00
Space group I-42m (No. 121)
Symmetry-distinct sites (fractional):
1 Cu 0.0000 0.0000 0.0000 [2 per cell]
2 Cl 0.2478 0.2478 0.8690 [8 per cell]

***

4.
Rb2DyCuCl6 | GGA-PBE | optimized geometry

Computed properties:
- total energy after the MP2020 corrections (eV/f.u.) = -43.128

a b c (Å): 10.4112 10.4112 10.4112
angles (deg): 90.00 90.00 90.00
Space group Fm-3m (No. 225)
Symmetry-distinct sites (fractional):
1 Rb 0.2500 0.2500 0.2500 [8 per cell]
2 Dy 0.0000 0.0000 0.0000 [4 per cell]
3 Cu 0.0000 0.0000 0.5000 [4 per cell]
4 Cl 0.0000 0.0000 0.2535 [24 per cell]

***

5.
K2ErCuCl6 | GGA-PBE | optimized geometry

Computed properties:
- total energy after the MP2020 corrections (eV/f.u.) = -43.093

a b c (Å): 10.3044 10.3044 10.3044
angles (deg): 90.00 90.00 90.00
Space group Fm-3m (No. 225)
Symmetry-distinct sites (fractional):
1 K 0.2500 0.2500 0.2500 [8 per cell]
2 Er 0.0000 0.0000 0.0000 [4 per cell]
3 Cu 0.0000 0.0000 0.5000 [4 per cell]
4 Cl 0.0000 0.0000 0.2531 [24 per cell]

***

6.
Na2ErCuCl6 | GGA-PBE | optimized geometry

Computed properties:
- total energy after the MP2020 corrections (eV/f.u.) = -41.671

a b c (Å): 10.2111 10.2111 10.2111
angles (deg): 90.00 90.00 90.00
Space group Fm-3m (No. 225)
Symmetry-distinct sites (fractional):
1 Na 0.2500 0.2500 0.2500 [8 per cell]
2 Er 0.0000 0.0000 0.0000 [4 per cell]
3 Cu 0.0000 0.0000 0.5000 [4 per cell]
4 Cl 0.0000 0.0000 0.2541 [24 per cell]

***

7.
ErCu3Se2ClO8 | GGA-PBE | optimized geometry

Computed properties:
- total energy after the MP2020 corrections (eV/f.u.) = -88.853

a b c (Å): 6.3462 9.5220 7.0312
angles (deg): 90.00 90.00 90.00
Space group Pmmn (No. 59, origin choice 2)
Symmetry-distinct sites (fractional):
1 Er 0.2500 0.2500 0.2343 [2 per cell]
2 Cu 0.0000 0.0000 0.5000 [4 per cell]
3 Cu 0.2500 0.2500 0.7055 [2 per cell]
4 Se 0.2500 0.5615 0.9121 [4 per cell]
5 Cl 0.2500 0.7500 0.3507 [2 per cell]
6 O 0.0364 0.5895 0.7619 [8 per cell]
7 O 0.2500 0.1126 0.5012 [4 per cell]
8 O 0.2500 0.1204 0.9273 [4 per cell]

***

8.
ErCuTe2ClO6 | GGA-PBE | optimized geometry

Computed properties:
- total energy after the MP2020 corrections (eV/f.u.) = -67.893

a b c (Å): 5.4188 14.9565 9.2816
angles (deg): 90.00 99.68 90.00
Space group P2_1/c (No. 14)
Symmetry-distinct sites (fractional):
1 Er 0.2457 0.0866 0.4743 [4 per cell]
2 Cu 0.2277 0.2245 0.1740 [4 per cell]
3 Te 0.2453 0.6520 0.7812 [4 per cell]
4 Te 0.2801 0.5872 0.2944 [4 per cell]
5 Cl 0.2301 0.1044 0.9446 [4 per cell]
6 O 0.0019 0.1746 0.5986 [4 per cell]
7 O 0.0321 0.6781 0.2261 [4 per cell]
8 O 0.1270 0.5175 0.1336 [4 per cell]
9 O 0.3780 0.5438 0.8738 [4 per cell]
10 O 0.4612 0.1391 0.2955 [4 per cell]
11 O 0.4837 0.2120 0.5942 [4 per cell]

***

9.
Rb2EuCuCl6 | GGA-PBE | optimized geometry

Computed properties:
- total energy after the MP2020 corrections (eV/f.u.) = -48.004

a b c (Å): 10.5020 10.5020 10.5020
angles (deg): 90.00 90.00 90.00
Space group Fm-3m (No. 225)
Symmetry-distinct sites (fractional):
1 Rb 0.2500 0.2500 0.2500 [8 per cell]
2 Eu 0.0000 0.0000 0.0000 [4 per cell]
3 Cu 0.0000 0.0000 0.5000 [4 per cell]
4 Cl 0.0000 0.0000 0.2619 [24 per cell]

***

10.
CuClF10 | GGA-PBE | optimized geometry

Computed properties:
- total energy after the MP2020 corrections (eV/f.u.) = -37.492

a b c (Å): 7.8863 9.3123 5.1484
angles (deg): 90.00 102.98 90.00
Space group P2_1/c (No. 14)
Symmetry-distinct sites (fractional):
1 Cu 0.0000 0.0000 0.0000 [2 per cell]
2 Cl 0.5000 0.0000 0.5000 [2 per cell]
3 F 0.0884 0.1579 0.8875 [4 per cell]
4 F 0.0912 0.6043 0.2805 [4 per cell]
5 F 0.3418 0.0970 0.5915 [4 per cell]
6 F 0.3459 0.6207 0.8411 [4 per cell]
7 F 0.4740 0.0977 0.2146 [4 per cell]

***

11.
CuClF10 | GGA-PBE | optimized geometry

Computed properties:
- total energy after the MP2020 corrections (eV/f.u.) = -37.510

a b c (Å): 5.3110 9.3775 7.5374
angles (deg): 90.00 99.94 90.00
Space group P2_1/c (No. 14)
Symmetry-distinct sites (fractional):
1 Cu 0.0000 0.0000 0.0000 [2 per cell]
2 Cl 0.5000 0.0000 0.5000 [2 per cell]
3 F 0.1043 0.1502 0.8943 [4 per cell]
4 F 0.2336 0.6042 0.4234 [4 per cell]
5 F 0.2666 0.6095 0.0373 [4 per cell]
6 F 0.3135 0.0588 0.3103 [4 per cell]
7 F 0.3833 0.1272 0.6175 [4 per cell]

***

12.
K2CuCl2F2 | GGA-PBE | optimized geometry

Computed properties:
- total energy after the MP2020 corrections (eV/f.u.) = -26.916

a b c (Å): 5.0398 5.0398 12.7352
angles (deg): 90.00 90.00 90.00
Space group I4/mmm (No. 139)
Symmetry-distinct sites (fractional):
1 K 0.0000 0.0000 0.1511 [4 per cell]
2 Cu 0.0000 0.0000 0.5000 [2 per cell]
3 Cl 0.0000 0.5000 0.0000 [4 per cell]
4 F 0.0000 0.0000 0.3493 [4 per cell]

***

| no. | formation energy (meV/atom) |
| --- | --- |
| 1 | -620 |
| 2 | 175 |
| 3 | -459 |
| 4 | -2137 |
| 5 | -2111 |
| 6 | -1927 |
| 7 | -1571 |
| 8 | -1946 |
| 9 | -2060 |
| 10 | -1033 |
| 11 | -1035 |
| 12 | -1867 |